# 1
Here is a relaxed SrGa2H2 crystal from the Materials Project database. Energies are from PBE.

Summary:
- crystal system = trigonal
- volume (Å³/cell) = 79
- symmetry = P-3m1, No. 164

Lattice parameters (Å, degrees): 4.4151 4.4151 4.6840 90.00 90.00 120.00
Fractional coordinates of all 5 atoms:
Sr1 0.0000 0.0000 0.0000
Ga1 0.3333 0.6667 0.5370
Ga2 0.6667 0.3333 0.4630
H1 0.3333 0.6667 0.9009
H2 0.6667 0.3333 0.0991



# 2
Here is a relaxed SrGaH4 crystal from the Materials Project database. Energies are from PBE.

Summary:
- crystal system = orthorhombic
- volume (Å³/cell) = 310
- symmetry = Pnma, No. 62
- total moment (μB/atom) = 0.0000

Lattice parameters (Å, degrees): 8.7865 4.7356 7.4608 90.00 90.00 90.00
Fractional coordinates of all 24 atoms:
Sr1 0.0047 0.2500 0.2486
Sr2 0.4953 0.7500 0.7486
Sr3 0.5047 0.2500 0.2514
Sr4 0.9953 0.7500 0.7514
Ga1 0.2426 0.2500 0.6042
Ga2 0.2574 0.7500 0.1042
Ga3 0.7426 0.2500 0.8958
Ga4 0.7574 0.7500 0.3958
H1 0.0390 0.2500 0.5785
H2 0.0539 0.7500 0.0801
H3 0.2439 0.5142 0.7485
H4 0.2439 0.9858 0.7485
H5 0.2561 0.0142 0.2485
H6 0.2561 0.4858 0.2485
H7 0.4461 0.2500 0.5801
H8 0.4610 0.7500 0.0785
H9 0.5390 0.2500 0.9215
H10 0.5539 0.7500 0.4199
H11 0.7439 0.5142 0.7515
H12 0.7439 0.9858 0.7515
H13 0.7561 0.0142 0.2515
H14 0.7561 0.4858 0.2515
H15 0.9461 0.2500 0.9199
H16 0.9610 0.7500 0.4215



# 3
Here is a relaxed Hf11Ga10 crystal from the Materials Project database. Energies are from PBE.

Summary:
- crystal system = tetragonal
- volume (Å³/cell) = 793
- symmetry = I4/mmm, No. 139

Lattice parameters (Å, degrees): 10.4023 10.4023 10.4023 120.24 120.24 89.58
Fractional coordinates of all 42 atoms:
Hf1 0.0612 0.3119 0.7492
Hf2 0.1036 0.4372 0.3336
Hf3 0.1036 0.7701 0.6664
Hf4 0.1786 0.1786 0.0000
Hf5 0.2299 0.8964 0.3336
Hf6 0.3119 0.0612 0.7492
Hf7 0.3119 0.5627 0.2508
Hf8 0.3252 0.3252 0.6504
Hf9 0.3252 0.6748 0.0000
Hf10 0.4372 0.1036 0.3336
Hf11 0.4373 0.6881 0.7492
Hf12 0.5627 0.3119 0.2508
Hf13 0.5628 0.8964 0.6664
Hf14 0.6748 0.3252 0.0000
Hf15 0.6748 0.6748 0.3496
Hf16 0.6881 0.4373 0.7492
Hf17 0.6881 0.9388 0.2508
Hf18 0.7701 0.1036 0.6664
Hf19 0.8214 0.8214 0.0000
Hf20 0.8964 0.2299 0.3336
Hf21 0.8964 0.5628 0.6664
Hf22 0.9388 0.6881 0.2508
Ga1 0.0331 0.0331 0.4128
Ga2 0.0331 0.6204 0.0000
Ga3 0.1274 0.1274 0.2549
Ga4 0.1274 0.8726 0.0000
Ga5 0.1432 0.5000 0.6432
Ga6 0.2500 0.7500 0.5000
Ga7 0.3796 0.3796 0.4128
Ga8 0.3796 0.9669 0.0000
Ga9 0.3924 0.3924 0.0000
Ga10 0.5000 0.1432 0.6432
Ga11 0.5000 0.8568 0.3568
Ga12 0.6076 0.6076 0.0000
Ga13 0.6204 0.0331 0.0000
Ga14 0.6204 0.6204 0.5872
Ga15 0.7500 0.2500 0.5000
Ga16 0.8568 0.5000 0.3568
Ga17 0.8726 0.1274 0.0000
Ga18 0.8726 0.8726 0.7451
Ga19 0.9669 0.3796 0.0000
Ga20 0.9669 0.9669 0.5872



# 4
Here is a relaxed Hf2Ga crystal from the Materials Project database. Energies are from PBE.

Summary:
- crystal system = tetragonal
- volume (Å³/cell) = 238
- symmetry = I4/mcm, No. 140

Lattice parameters (Å, degrees): 6.7121 6.7121 5.2915 90.00 90.00 90.00
Fractional coordinates of all 12 atoms:
Hf1 0.1537 0.3463 0.0000
Hf2 0.1537 0.6537 0.5000
Hf3 0.3463 0.1537 0.5000
Hf4 0.3463 0.8463 0.0000
Hf5 0.6537 0.1537 0.0000
Hf6 0.6537 0.8463 0.5000
Hf7 0.8463 0.3463 0.5000
Hf8 0.8463 0.6537 0.0000
Ga1 0.0000 0.0000 0.2500
Ga2 0.0000 0.0000 0.7500
Ga3 0.5000 0.5000 0.2500
Ga4 0.5000 0.5000 0.7500



# 5
Here is a relaxed Hf3Ga crystal from the Materials Project database. Energies are from PBE.

Summary:
- crystal system = tetragonal
- volume (Å³/cell) = 162
- symmetry = I4/mmm, No. 139
- total moment (μB/atom) = 0.0321

Lattice parameters (Å, degrees): 4.2060 4.2060 9.1808 90.00 90.00 90.00
Fractional coordinates of all 8 atoms:
Hf1 0.0000 0.0000 0.0000
Hf2 0.0000 0.5000 0.2500
Hf3 0.0000 0.5000 0.7500
Hf4 0.5000 0.0000 0.2500
Hf5 0.5000 0.0000 0.7500
Hf6 0.5000 0.5000 0.5000
Ga1 0.0000 0.0000 0.5000
Ga2 0.5000 0.5000 0.0000



# 6
Here is a relaxed HfGa crystal from the Materials Project database. Energies are from PBE.

Summary:
- crystal system = orthorhombic
- volume (Å³/cell) = 447
- symmetry = Pbcm, No. 57

Lattice parameters (Å, degrees): 9.2111 8.5533 5.6777 90.00 90.00 90.00
Fractional coordinates of all 24 atoms:
Hf1 0.1112 0.2500 0.0000
Hf2 0.1112 0.2500 0.5000
Hf3 0.1923 0.6365 0.2500
Hf4 0.1923 0.8635 0.7500
Hf5 0.3826 0.0266 0.2500
Hf6 0.3826 0.4734 0.7500
Hf7 0.6174 0.5266 0.2500
Hf8 0.6174 0.9734 0.7500
Hf9 0.8077 0.1365 0.2500
Hf10 0.8077 0.3635 0.7500
Hf11 0.8888 0.7500 0.0000
Hf12 0.8888 0.7500 0.5000
Ga1 0.0858 0.5481 0.7500
Ga2 0.0858 0.9519 0.2500
Ga3 0.3490 0.1321 0.7500
Ga4 0.3490 0.3679 0.2500
Ga5 0.4346 0.7500 0.0000
Ga6 0.4346 0.7500 0.5000
Ga7 0.5654 0.2500 0.0000
Ga8 0.5654 0.2500 0.5000
Ga9 0.6510 0.6321 0.7500
Ga10 0.6510 0.8679 0.2500
Ga11 0.9142 0.0481 0.7500
Ga12 0.9142 0.4519 0.2500



# 7
Here is a relaxed Hf2Ga3 crystal from the Materials Project database. Energies are from PBE.

Summary:
- crystal system = orthorhombic
- volume (Å³/cell) = 178
- symmetry = Fdd2, No. 43

Lattice parameters (Å, degrees): 7.3641 5.4703 8.3031 60.57 40.31 79.12
Fractional coordinates of all 10 atoms:
Hf1 0.2347 0.7653 0.3699
Hf2 0.6199 0.8801 0.4847
Hf3 0.7653 0.2347 0.6301
Hf4 0.8801 0.6199 0.0153
Ga1 0.1721 0.8046 0.0571
Ga2 0.1929 0.2838 0.0779
Ga3 0.2838 0.1929 0.4454
Ga4 0.3728 0.3728 0.6272
Ga5 0.6228 0.6228 0.8772
Ga6 0.8046 0.1721 0.9662



# 8
Here is a relaxed HfMg6GaO8 crystal from the Materials Project database. Energies are from PBE.

Summary:
- crystal system = tetragonal
- volume (Å³/cell) = 178
- symmetry = P4/mmm, No. 123
- total moment (μB/atom) = 0.0000

Lattice parameters (Å, degrees): 4.4177 4.4177 9.1034 90.00 90.00 90.00
Fractional coordinates of all 16 atoms:
Hf1 0.0000 0.0000 0.0000
Mg1 0.0000 0.5000 0.2639
Mg2 0.0000 0.5000 0.7361
Mg3 0.5000 0.0000 0.2639
Mg4 0.5000 0.0000 0.7361
Mg5 0.5000 0.5000 0.0000
Mg6 0.5000 0.5000 0.5000
Ga1 0.0000 0.0000 0.5000
O1 0.0000 0.0000 0.2256
O2 0.0000 0.0000 0.7744
O3 0.0000 0.5000 0.0000
O4 0.0000 0.5000 0.5000
O5 0.5000 0.0000 0.0000
O6 0.5000 0.0000 0.5000
O7 0.5000 0.5000 0.2556
O8 0.5000 0.5000 0.7444



# 9
Here is a relaxed HfMg6GaO8 crystal from the Materials Project database. Energies are from PBE.

Summary:
- crystal system = tetragonal
- volume (Å³/cell) = 173
- symmetry = P4/mmm, No. 123

Lattice parameters (Å, degrees): 4.3868 4.3868 8.9745 90.00 90.00 90.00
Fractional coordinates of all 16 atoms:
Hf1 0.0000 0.0000 0.0000
Mg1 0.0000 0.0000 0.5000
Mg2 0.0000 0.5000 0.2625
Mg3 0.0000 0.5000 0.7375
Mg4 0.5000 0.0000 0.2625
Mg5 0.5000 0.0000 0.7375
Mg6 0.5000 0.5000 0.5000
Ga1 0.5000 0.5000 0.0000
O1 0.0000 0.0000 0.2525
O2 0.0000 0.0000 0.7475
O3 0.0000 0.5000 0.0000
O4 0.0000 0.5000 0.5000
O5 0.5000 0.0000 0.0000
O6 0.5000 0.0000 0.5000
O7 0.5000 0.5000 0.2746
O8 0.5000 0.5000 0.7254



# 10
Here is a relaxed HfMnGa2 crystal from the Materials Project database. Energies are from PBE.

Summary:
- crystal system = orthorhombic
- volume (Å³/cell) = 764
- symmetry = Pnma, No. 62
- total moment (μB/atom) = 0.4267

Lattice parameters (Å, degrees): 10.0563 8.4382 9.0079 90.00 90.00 90.00
Fractional coordinates of all 48 atoms:
Hf1 0.0495 0.0264 0.1689
Hf2 0.0495 0.4736 0.1689
Hf3 0.1797 0.7500 0.6633
Hf4 0.3203 0.2500 0.1633
Hf5 0.4505 0.5264 0.6689
Hf6 0.4505 0.9736 0.6689
Hf7 0.5495 0.0264 0.3311
Hf8 0.5495 0.4736 0.3311
Hf9 0.6797 0.7500 0.8367
Hf10 0.8203 0.2500 0.3367
Hf11 0.9505 0.5264 0.8311
Hf12 0.9505 0.9736 0.8311
Mn1 0.0000 0.0000 0.5000
Mn2 0.0000 0.5000 0.5000
Mn3 0.2500 0.0001 0.4219
Mn4 0.2500 0.9999 0.9219
Mn5 0.2500 0.4999 0.4219
Mn6 0.2500 0.5001 0.9219
Mn7 0.5000 0.0000 0.0000
Mn8 0.5000 0.5000 0.0000
Mn9 0.7500 0.0001 0.0781
Mn10 0.7500 0.9999 0.5781
Mn11 0.7500 0.4999 0.0781
Mn12 0.7500 0.5001 0.5781
Ga1 0.0955 0.7500 0.3570
Ga2 0.1048 0.2500 0.3888
Ga3 0.1189 0.2500 0.9342
Ga4 0.1276 0.7500 0.9870
Ga5 0.1803 0.0794 0.6732
Ga6 0.1803 0.4206 0.6732
Ga7 0.3197 0.5794 0.1732
Ga8 0.3197 0.9206 0.1732
Ga9 0.3724 0.2500 0.4870
Ga10 0.3811 0.7500 0.4342
Ga11 0.3952 0.7500 0.8888
Ga12 0.4045 0.2500 0.8570
Ga13 0.5955 0.7500 0.1430
Ga14 0.6048 0.2500 0.1112
Ga15 0.6189 0.2500 0.5658
Ga16 0.6276 0.7500 0.5130
Ga17 0.6803 0.0794 0.8268
Ga18 0.6803 0.4206 0.8268
Ga19 0.8197 0.5794 0.3268
Ga20 0.8197 0.9206 0.3268
Ga21 0.8724 0.2500 0.0130
Ga22 0.8811 0.7500 0.0658
Ga23 0.8952 0.7500 0.6112
Ga24 0.9045 0.2500 0.6430



# 11
Here is a relaxed Na2HfGaP3O12 crystal from the Materials Project database. Energies are from PBE.

Summary:
- volume (Å³/cell) = 1508
- total moment (μB/atom) = 0.0000

Lattice parameters (Å, degrees): 8.8380 8.8380 22.4044 90.17 89.83 120.51
Fractional coordinates of all 114 atoms:
Na1 0.3650 0.3615 0.2484
Na2 0.6385 0.6350 0.7484
Na3 0.0317 0.6948 0.5817
Na4 0.3052 0.9683 0.0817
Na5 0.6984 0.0282 0.9150
Na6 0.9718 0.3016 0.4150
Na7 0.9998 0.9989 0.4959
Na8 0.0011 0.0002 0.9959
Na9 0.6665 0.3322 0.8293
Na10 0.6678 0.3335 0.3293
Na11 0.3332 0.6655 0.1626
Na12 0.3345 0.6668 0.6626
Hf1 0.0018 0.0078 0.6464
Hf2 0.9922 0.9982 0.1464
Hf3 0.6684 0.3411 0.9797
Hf4 0.6589 0.3316 0.4797
Hf5 0.3351 0.6744 0.3130
Hf6 0.3256 0.6649 0.8130
Ga1 0.9987 0.9924 0.3511
Ga2 0.0076 0.0013 0.8511
Ga3 0.6654 0.3257 0.6844
Ga4 0.6743 0.3346 0.1844
Ga5 0.3321 0.6591 0.0177
Ga6 0.3409 0.6679 0.5177
P1 0.2932 0.0055 0.2495
P2 0.7129 0.7042 0.2516
P3 0.9894 0.2867 0.2522
P4 0.2958 0.2871 0.7516
P5 0.9945 0.7068 0.7495
P6 0.7133 0.0106 0.7522
P7 0.9598 0.3388 0.5828
P8 0.3795 0.0375 0.5850
P9 0.6561 0.6200 0.5855
P10 0.9625 0.6205 0.0850
P11 0.6612 0.0402 0.0828
P12 0.3800 0.3439 0.0855
P13 0.6265 0.6721 0.9161
P14 0.0462 0.3709 0.9183
P15 0.3228 0.9533 0.9188
P16 0.6291 0.9538 0.4183
P17 0.3279 0.3735 0.4161
P18 0.0467 0.6772 0.4188
O1 0.2070 0.0392 0.3039
O2 0.8241 0.7911 0.3070
O3 0.9673 0.1802 0.3093
O4 0.2089 0.1759 0.8070
O5 0.9608 0.7930 0.8039
O6 0.8198 0.0327 0.8093
O7 0.7978 0.9719 0.6977
O8 0.1815 0.2058 0.6955
O9 0.0242 0.8175 0.6924
O10 0.7942 0.8185 0.1955
O11 0.0281 0.2022 0.1977
O12 0.1825 0.9758 0.1924
O13 0.8737 0.3725 0.6372
O14 0.4907 0.1245 0.6403
O15 0.6339 0.5135 0.6427
O16 0.8755 0.5093 0.1403
O17 0.6275 0.1263 0.1372
O18 0.4865 0.3661 0.1427
O19 0.4645 0.3052 0.0310
O20 0.8482 0.5392 0.0289
O21 0.6909 0.1508 0.0257
O22 0.4608 0.1518 0.5289
O23 0.6948 0.5355 0.5310
O24 0.8492 0.3091 0.5257
O25 0.5404 0.7059 0.9706
O26 0.1574 0.4578 0.9737
O27 0.3006 0.8469 0.9760
O28 0.5422 0.8426 0.4737
O29 0.2941 0.4596 0.4706
O30 0.1531 0.6994 0.4760
O31 0.1311 0.6386 0.3643
O32 0.5148 0.8725 0.3622
O33 0.3575 0.4841 0.3590
O34 0.1275 0.4852 0.8622
O35 0.3614 0.8689 0.8643
O36 0.5159 0.6425 0.8590
O37 0.0264 0.8372 0.4102
O38 0.8152 0.9814 0.4110
O39 0.1611 0.1903 0.4096
O40 0.0186 0.1848 0.9110
O41 0.1628 0.9736 0.9102
O42 0.8097 0.8389 0.9096
O43 0.9774 0.1743 0.5890
O44 0.1918 0.0141 0.5896
O45 0.8289 0.8036 0.5898
O46 0.9859 0.8082 0.0896
O47 0.8257 0.0226 0.0890
O48 0.1964 0.1711 0.0898
O49 0.6931 0.1705 0.7436
O50 0.4819 0.3148 0.7443
O51 0.8278 0.5236 0.7430
O52 0.6852 0.5181 0.2443
O53 0.8295 0.3069 0.2436
O54 0.4764 0.1722 0.2430
O55 0.6441 0.5076 0.9223
O56 0.8585 0.3474 0.9229
O57 0.4956 0.1369 0.9231
O58 0.6526 0.1415 0.4229
O59 0.4924 0.3559 0.4223
O60 0.8631 0.5044 0.4231
O61 0.3597 0.5038 0.0769
O62 0.1485 0.6481 0.0777
O63 0.4944 0.8570 0.0763
O64 0.3519 0.8515 0.5777
O65 0.4962 0.6403 0.5769
O66 0.1430 0.5056 0.5763
O67 0.3107 0.8409 0.2556
O68 0.5251 0.6808 0.2562
O69 0.1622 0.4703 0.2564
O70 0.3192 0.4749 0.7562
O71 0.1591 0.6893 0.7556
O72 0.5297 0.8378 0.7564



Number 1: formation energy from the elements -476.9 meV/atom. Number 2: formation energy from the elements -263.1 meV/atom. Number 3: formation energy from the elements -492.7 meV/atom. Number 4: formation energy from the elements -401.2 meV/atom. Number 5: formation energy from the elements -227.5 meV/atom. Number 6: formation energy from the elements -506.7 meV/atom. Number 7: formation energy from the elements -495.3 meV/atom. Number 8: formation energy from the elements -2624.9 meV/atom. Number 9: formation energy from the elements -2634.7 meV/atom. Number 10: formation energy from the elements -380.9 meV/atom. Number 11: formation energy from the elements -2872.9 meV/atom.